Below is a geometry-optimized K2ZrSi3O9 structure, with properties calculated at the PBE level.

Cell lengths 7.030, 7.030, 10.364 Å; angles 90.00, 90.00, 120.00 degrees
Fractional coordinates of all 30 atoms:
K  0.333  0.667  0.057
K  0.667  0.333  0.557
K  0.333  0.667  0.443
K  0.667  0.333  0.943
Zr  0.000  0.000  0.000
Zr  0.000  0.000  0.500
Si  0.613  0.741  0.750
Si  0.873  0.613  0.250
Si  0.741  0.127  0.250
Si  0.259  0.873  0.750
Si  0.127  0.387  0.750
Si  0.387  0.259  0.250
O  0.256  0.236  0.383
O  0.021  0.256  0.883
O  0.236  0.979  0.883
O  0.764  0.021  0.383
O  0.979  0.744  0.383
O  0.744  0.764  0.883
O  0.744  0.764  0.617
O  0.979  0.744  0.117
O  0.764  0.021  0.117
O  0.236  0.979  0.617
O  0.021  0.256  0.617
O  0.256  0.236  0.117
O  0.486  0.089  0.250
O  0.397  0.486  0.750
O  0.089  0.603  0.750
O  0.911  0.397  0.250
O  0.603  0.514  0.250
O  0.514  0.911  0.750

Values from the calculation:
* final energy: -227.51 eV/cell
* energy with MP2020 corrections: -239.9 eV per cell
* formation energy: -3.224 eV per atom
* M_tot: 0.001 μB/cell


Below is a geometry-optimized Ba3YRu2O9 structure, with properties calculated at the PBE level.

Cell lengths 5.962, 5.962, 14.617 Å; angles 90.00, 90.00, 120.00 degrees
Fractional coordinates of all 30 atoms:
Ba  0.333  0.667  0.595
Ba  0.667  0.333  0.095
Ba  0.667  0.333  0.405
Ba  0.333  0.667  0.905
Ba  0.000  0.000  0.750
Ba  0.000  0.000  0.250
Y  0.000  0.000  0.000
Y  0.000  0.000  0.500
Ru  0.667  0.333  0.664
Ru  0.333  0.667  0.164
Ru  0.667  0.333  0.836
Ru  0.333  0.667  0.336
O  0.176  0.824  0.088
O  0.176  0.352  0.088
O  0.648  0.824  0.088
O  0.352  0.176  0.588
O  0.824  0.648  0.912
O  0.824  0.176  0.588
O  0.824  0.648  0.588
O  0.176  0.824  0.412
O  0.648  0.824  0.412
O  0.352  0.176  0.912
O  0.824  0.176  0.912
O  0.176  0.352  0.412
O  0.490  0.980  0.250
O  0.510  0.490  0.750
O  0.980  0.490  0.750
O  0.020  0.510  0.250
O  0.490  0.510  0.250
O  0.510  0.020  0.750

Values from the calculation:
* final energy: -216.98 eV/cell
* energy with MP2020 corrections: -229.3 eV per cell
* formation energy: -2.625 eV per atom
* M_tot: 6.002 μB/cell


no.,density (g cm⁻³),volume (Å³/cell)
1,2.98,443.61
2,6.25,449.99